DFT (PBE) results for a geometry-optimized CeCd2Cu structure.

a b c (Å): 7.0399 7.0399 7.0399
angles (deg): 90.00 90.00 90.00
Last column: nearest neighbours and their distance in Å.
Space group F-43m (No. 216)
Asymmetric unit:
Ce 0.0000 0.0000 0.0000 [4 per cell]  4 Cd 3.05, 4 Cu 3.05
Cd 0.0000 0.0000 0.5000 [4 per cell]  4 Cu 3.05, 4 Cd 3.05
Cd 0.2500 0.2500 0.7500 [4 per cell]  4 Cd 3.05, 4 Ce 3.05
Cu 0.2500 0.2500 0.2500 [4 per cell]  4 Cd 3.05, 4 Ce 3.05

Results
* ρ: 8.2 Mg/m³
* energy relative to the elements: -126 meV per atom

=====

DFT (PBE) results for a geometry-optimized CeCdCu structure.

a b c (Å): 4.8032 4.8032 3.2666
angles (deg): 90.00 90.00 120.00
Last column: nearest neighbours and their distance in Å.
Space group P-6m2 (No. 187)
Asymmetric unit:
Ce 0.0000 0.0000 0.0000 [1 per cell]  6 Cd 3.22, 6 Cu 3.22, 2 Ce 3.27
Cd 0.3333 0.6667 0.5000 [1 per cell]  3 Cu 2.77
Cu 0.6667 0.3333 0.5000 [1 per cell]  3 Cd 2.77

Results
* ρ: 8.0 Mg/m³
* energy relative to the elements: -130 meV per atom

=====

DFT (PBE) results for a geometry-optimized Ce2CdHg structure.

a b c (Å): 7.7012 7.7012 7.7012
angles (deg): 90.00 90.00 90.00
Last column: nearest neighbours and their distance in Å.
Space group Fm-3m (No. 225)
Asymmetric unit:
Ce 0.2500 0.2500 0.2500 [8 per cell]  4 Hg 3.33, 4 Cd 3.33
Cd 0.0000 0.0000 0.0000 [4 per cell]  8 Ce 3.33
Hg 0.0000 0.0000 0.5000 [4 per cell]  8 Ce 3.33

Results
* ρ: 8.6 Mg/m³
* energy relative to the elements: -193 meV per atom

=====

DFT (PBE) results for a geometry-optimized CeCdHg2 structure.

a b c (Å): 7.3761 7.3761 7.3761
angles (deg): 90.00 90.00 90.00
Last column: nearest neighbours and their distance in Å.
Space group Fm-3m (No. 225)
Asymmetric unit:
Ce 0.0000 0.0000 0.0000 [4 per cell]  8 Hg 3.19
Cd 0.0000 0.0000 0.5000 [4 per cell]  8 Hg 3.19
Hg 0.2500 0.2500 0.2500 [8 per cell]  4 Cd 3.19, 4 Ce 3.19

Results
* ρ: 10.8 Mg/m³
* energy relative to the elements: -346 meV per atom

=====

DFT (PBE) results for a geometry-optimized CeCdIn structure.

a b c (Å): 4.9997 4.9997 7.3493
angles (deg): 90.00 90.00 120.00
Last column: nearest neighbours and their distance in Å.
Space group P-3m1 (No. 164)
Asymmetric unit:
Ce 0.0000 0.0000 0.2401 [2 per cell]  6 In 3.30-3.64, 6 Cd 3.31-3.46, 1 Ce 3.53
Cd 0.3333 0.6667 0.0206 [2 per cell]  3 Cd 2.90, 1 In 3.22
In 0.3333 0.6667 0.4585 [2 per cell]  3 In 2.95, 1 Cd 3.22, 3 Ce 3.30

Results
* ρ: 7.7 Mg/m³
* energy relative to the elements: -301 meV per atom

=====

DFT (PBE) results for a geometry-optimized CeCdO3 structure.

a b c (Å): 6.0025 8.4810 6.0058
angles (deg): 90.00 90.44 90.00
Last column: nearest neighbours and their distance in Å.
Space group P2_1/m (No. 11)
Asymmetric unit:
Ce 0.0000 0.0000 0.0000 [2 per cell]  6 O 2.24-2.30
Ce 0.5000 0.0000 0.5000 [2 per cell]  6 O 2.24-2.30
Cd 0.0163 0.2500 0.5164 [2 per cell]  4 O 2.23-2.30
Cd 0.4651 0.2500 0.9642 [2 per cell]  6 O 2.46-2.55
O 0.0602 0.2500 0.8973 [2 per cell]  2 Ce 2.24, 2 Cd 2.30-2.46
O 0.1735 0.5674 0.6736 [4 per cell]  1 Cd 2.23, 2 Ce 2.30
O 0.3392 0.5008 0.1609 [4 per cell]  2 Ce 2.25
O 0.3967 0.2500 0.5588 [2 per cell]  2 Ce 2.24, 2 Cd 2.30-2.47

Results
* ρ: 6.5 Mg/m³
* energy relative to the elements: -2725 meV per atom
* total energy after the MP2020 corrections: -7.065 eV per atom

=====

DFT (PBE) results for a geometry-optimized Ce2CdSe2O2 structure.

a b c (Å): 3.9929 3.9929 18.8602
angles (deg): 90.00 90.00 90.00
Last column: nearest neighbours and their distance in Å.
Space group P4_2/nmc (No. 137, origin choice 2)
Asymmetric unit:
Ce 0.2500 0.2500 0.0655 [4 per cell]  4 O 2.34-2.35
Cd 0.2500 0.7500 0.2500 [2 per cell]  4 Se 2.71
Se 0.2500 0.2500 0.3471 [4 per cell]  2 Cd 2.71
O 0.2500 0.7500 0.0007 [4 per cell]  4 Ce 2.34-2.35

Results
* ρ: 6.4 Mg/m³
* energy relative to the elements: -2471 meV per atom
* total energy after the MP2020 corrections: -6.710 eV per atom

=====

DFT (PBE) results for a geometry-optimized Ce2CdPb structure.

a b c (Å): 7.7971 7.7971 7.7971
angles (deg): 90.00 90.00 90.00
Last column: nearest neighbours and their distance in Å.
Space group Fm-3m (No. 225)
Asymmetric unit:
Ce 0.2500 0.2500 0.2500 [8 per cell]  4 Cd 3.38, 4 Pb 3.38
Cd 0.0000 0.0000 0.0000 [4 per cell]  8 Ce 3.38
Pb 0.0000 0.0000 0.5000 [4 per cell]  8 Ce 3.38

Results
* ρ: 8.4 Mg/m³
* energy relative to the elements: -239 meV per atom